A geometry-optimized Ti2Cd structure, computed with meta-GGA r2SCAN.

Cell and atoms, written as POSCAR:
```
Ti2Cd
1.0
-1.424 1.424 6.738
1.424 -1.424 6.738
1.424 1.424 -6.738
Ti Cd
2 1
direct
0.177 0.177 0.000 Ti
0.823 0.823 0.000 Ti
0.500 0.500 0.000 Cd
```

Values from the calculation:
crystal system: tetragonal
magnetic moment: 0.000 μB per formula unit
total DFT energy (no corrections): -46.2 eV/cell
ΔH_f (0 K): -0.2 eV/f.u.

---

A geometry-optimized NdRhO3 structure, computed with meta-GGA r2SCAN.

Cell and atoms, written as POSCAR:
```
NdRhO3
1.0
5.832 0.000 0.000
0.000 7.794 0.000
0.000 0.000 5.362
Nd Rh O
4 4 12
direct
0.076 0.250 0.025 Nd
0.424 0.750 0.525 Nd
0.576 0.250 0.475 Nd
0.924 0.750 0.975 Nd
0.000 0.000 0.500 Rh
0.000 0.500 0.500 Rh
0.500 0.000 0.000 Rh
0.500 0.500 0.000 Rh
0.034 0.750 0.391 O
0.196 0.553 0.815 O
0.196 0.947 0.815 O
0.304 0.053 0.315 O
0.304 0.447 0.315 O
0.466 0.250 0.891 O
0.534 0.750 0.109 O
0.696 0.553 0.685 O
0.696 0.947 0.685 O
0.804 0.053 0.185 O
0.804 0.447 0.185 O
0.966 0.250 0.609 O
```

Values from the calculation:
crystal system: orthorhombic
magnetic moment: 0.000 μB per formula unit
total DFT energy (no corrections): -333.6 eV/cell
ΔH_f (0 K): -11.9 eV/f.u.

---

A geometry-optimized InN structure, computed with meta-GGA r2SCAN.

Cell and atoms, written as POSCAR:
```
InN
1.0
0.000 2.503 2.503
2.503 0.000 2.503
2.503 2.503 0.000
In N
1 1
direct
0.000 0.000 0.000 In
0.250 0.250 0.250 N
```

Values from the calculation:
crystal system: cubic
magnetic moment: 0.000 μB per formula unit
total DFT energy (no corrections): -31.9 eV/cell
E above lowest polymorph: 0.03 eV per formula unit
ΔH_f (0 K): -0.2 eV/f.u.

---

A geometry-optimized NdGdIr2 structure, computed with meta-GGA r2SCAN.

Cell and atoms, written as POSCAR:
```
NdGdIr2
1.0
0.000 3.496 3.496
3.496 0.000 3.496
3.496 3.496 0.000
Nd Gd Ir
1 1 2
direct
0.000 0.000 0.000 Nd
0.500 0.500 0.500 Gd
0.250 0.250 0.250 Ir
0.750 0.750 0.750 Ir
```

Values from the calculation:
crystal system: cubic
magnetic moment: 6.709 μB per formula unit
total DFT energy (no corrections): -180.4 eV/cell
ΔH_f (0 K): -2.8 eV/f.u.

---

A geometry-optimized Th2Se5 structure, computed with meta-GGA r2SCAN.

Cell and atoms, written as POSCAR:
```
Th2Se5
1.0
8.012 0.000 0.000
0.000 10.742 0.000
0.000 0.000 8.021
Th Se
8 20
direct
0.241 0.147 0.010 Th
0.241 0.853 0.510 Th
0.259 0.353 0.510 Th
0.259 0.647 0.010 Th
0.741 0.353 0.990 Th
0.741 0.647 0.490 Th
0.759 0.147 0.490 Th
0.759 0.853 0.990 Th
0.000 0.250 0.750 Se
0.000 0.750 0.250 Se
0.113 0.397 0.138 Se
0.113 0.603 0.638 Se
0.130 0.107 0.381 Se
0.130 0.893 0.881 Se
0.370 0.393 0.881 Se
0.370 0.607 0.381 Se
0.387 0.103 0.638 Se
0.387 0.897 0.138 Se
0.500 0.250 0.250 Se
0.500 0.750 0.750 Se
0.613 0.103 0.862 Se
0.613 0.897 0.362 Se
0.630 0.393 0.619 Se
0.630 0.607 0.119 Se
0.870 0.107 0.119 Se
0.870 0.893 0.619 Se
0.887 0.397 0.362 Se
0.887 0.603 0.862 Se
```

Values from the calculation:
crystal system: orthorhombic
magnetic moment: 0.000 μB per formula unit
total DFT energy (no corrections): -923.9 eV/cell
ΔH_f (0 K): -12.5 eV/f.u.

---

A geometry-optimized Er2CdGe2 structure, computed with meta-GGA r2SCAN.

Cell and atoms, written as POSCAR:
```
Er2CdGe2
1.0
7.231 0.000 0.000
0.000 7.231 0.000
0.000 0.000 4.126
Er Cd Ge
4 2 4
direct
0.178 0.322 0.000 Er
0.322 0.822 0.000 Er
0.678 0.178 0.000 Er
0.822 0.678 0.000 Er
0.000 0.000 0.500 Cd
0.500 0.500 0.500 Cd
0.122 0.622 0.500 Ge
0.378 0.122 0.500 Ge
0.622 0.878 0.500 Ge
0.878 0.378 0.500 Ge
```

Values from the calculation:
crystal system: tetragonal
magnetic moment: 0.000 μB per formula unit
total DFT energy (no corrections): -239.3 eV/cell
ΔH_f (0 K): -3.9 eV/f.u.

---

A geometry-optimized ErSnAu structure, computed with meta-GGA r2SCAN.

Cell and atoms, written as POSCAR:
```
ErSnAu
1.0
0.000 3.321 3.321
3.321 0.000 3.321
3.321 3.321 0.000
Er Sn Au
1 1 1
direct
0.000 0.000 0.000 Er
0.500 0.500 0.500 Sn
0.750 0.750 0.750 Au
```

Values from the calculation:
crystal system: cubic
magnetic moment: 0.000 μB per formula unit
total DFT energy (no corrections): -112.1 eV/cell
ΔH_f (0 K): -2.9 eV/f.u.

---

A geometry-optimized MnB4W3 structure, computed with meta-GGA r2SCAN.

Cell and atoms, written as POSCAR:
```
MnB4W3
1.0
3.070 0.000 0.000
0.000 3.141 0.000
0.000 0.000 8.275
Mn B W
1 4 3
direct
0.000 0.000 0.000 Mn
0.000 0.000 0.291 B
0.000 0.500 0.809 B
0.500 0.000 0.419 B
0.500 0.500 0.933 B
0.000 0.500 0.508 W
0.500 0.000 0.721 W
0.500 0.500 0.210 W
```

Values from the calculation:
crystal system: orthorhombic
magnetic moment: 2.684 μB per formula unit
total DFT energy (no corrections): -201.4 eV/cell
ΔH_f (0 K): -3.3 eV/f.u.